Record 1
# SrB2N2

A geometry-optimized SrB2N2 structure (PBE-GGA, Materials Project).

As for the calculated formation energy: -0.794 eV per atom. The crystal system is monoclinic.

POSCAR file:
```
SrB2N2
1.0
-0.477 -2.543 3.076
2.198 0.539 3.322
-4.392 3.521 3.639
N B Sr
2 2 1
direct
0.133 0.133 0.194
0.867 0.867 0.806
0.946 0.946 0.618
0.054 0.054 0.382
0.500 0.500 0.000
```

=====

Record 2
# Ta2BN3

A geometry-optimized Ta2BN3 structure (PBE-GGA, Materials Project).

As for the calculated formation energy: -0.257 eV per atom. The crystal system is hexagonal.

POSCAR file:
```
Ta2BN3
1.0
-0.544 2.485 4.808
-4.316 -2.311 -2.371
0.573 -2.422 1.317
N Ta B
3 2 1
direct
0.000 0.500 0.000
0.500 0.000 0.000
0.500 0.500 0.000
0.333 0.667 0.500
0.667 0.333 0.500
0.000 0.000 0.000
```

=====

Record 3
# Ti4B2N3

A geometry-optimized Ti4B2N3 structure (PBE-GGA, Materials Project).

As for the calculated formation energy: -0.814 eV per atom. The crystal system is trigonal.

POSCAR file:
```
Ti4B2N3
1.0
-2.609 -12.267 -1.596
0.310 -12.613 -0.796
-1.846 -12.434 1.349
N Ti B
3 4 2
direct
0.599 0.599 0.599
0.203 0.203 0.203
0.993 0.993 0.993
0.100 0.100 0.100
0.503 0.503 0.503
0.902 0.902 0.902
0.305 0.305 0.305
0.800 0.800 0.800
0.395 0.395 0.395
```

=====

Record 4
# BW4N9

A geometry-optimized BW4N9 structure (PBE-GGA, Materials Project).

As for the calculated formation energy: -0.364 eV per atom. The crystal system is hexagonal.

POSCAR file:
```
BW4N9
1.0
8.570 0.000 0.000
-4.285 7.422 0.000
0.000 0.000 4.854
N W B
18 8 2
direct
0.105 0.199 0.482
0.439 0.547 0.435
0.782 0.562 0.480
0.562 0.780 0.980
0.220 0.782 0.980
0.095 0.895 0.482
0.438 0.220 0.480
0.895 0.801 0.982
0.199 0.095 0.982
0.561 0.453 0.935
0.218 0.438 0.980
0.453 0.892 0.435
0.801 0.905 0.482
0.905 0.105 0.982
0.108 0.561 0.435
0.780 0.218 0.480
0.892 0.439 0.935
0.547 0.108 0.935
0.333 0.667 0.167
0.354 0.035 0.172
0.965 0.318 0.172
0.646 0.965 0.672
0.318 0.354 0.672
0.035 0.682 0.672
0.682 0.646 0.172
0.667 0.333 0.667
0.000 0.000 0.982
0.000 0.000 0.482
```

=====

no.,ρ (g/cm³),uncorrected energy (eV per atom)
1,2.4,-6.994
2,9.5,-9.311
3,4.2,-8.466
4,9.4,-9.670